Material: Ba3Sr5Tl5Cu3O19
Method: DFT, PBE-GGA
State: optimized geometry

POSCAR file:
```
Ba3Sr5Tl5Cu3O19
1.0
9.408 0.000 0.000
0.000 3.768 0.000
-4.702 0.000 15.410
Ba Sr Tl Cu O
3 5 5 3 19
Cartesian
0.000 0.000 0.000 Ba
-0.026 0.000 3.911 Ba
3.925 0.000 3.913 Ba
-0.018 0.000 7.708 Sr
-0.780 0.000 11.682 Sr
3.879 0.000 0.014 Sr
3.921 0.000 7.707 Sr
4.691 0.000 11.674 Sr
-2.746 1.884 9.308 Tl
1.953 1.884 10.070 Tl
1.904 1.884 13.824 Tl
6.608 1.884 1.895 Tl
6.650 1.884 5.555 Tl
-2.672 1.884 13.498 Cu
2.025 1.884 1.958 Cu
1.961 1.884 5.865 Cu
-2.747 1.884 11.540 O
-0.707 1.884 6.005 O
-2.726 0.000 13.399 O
-2.625 1.884 15.408 O
-0.406 1.884 9.701 O
2.003 0.000 1.900 O
1.951 1.884 3.922 O
1.955 0.000 5.989 O
-0.165 1.884 13.462 O
1.942 1.884 7.846 O
4.565 1.884 1.839 O
1.933 0.000 11.273 O
4.596 1.884 6.001 O
1.851 0.000 15.347 O
4.308 1.884 9.696 O
6.640 0.000 4.028 O
3.958 1.884 13.375 O
6.652 0.000 8.111 O
8.648 1.884 1.935 O
```

Summary:
Symmetry: Pm, No. 6
ΔE_f in eV per atom: -2.00
Magnetization in Bohr magnetons per cell: 0.01
E_tot in eV/cell: -189.43